No. 1
Here is a relaxed Na4NbGa3Si3S3O24 crystal from the Materials Project database. Energies are from PBE.

Results
Formation enthalpy at 0 K ... -2.403 eV/atom
Spin magnetization ... 0.000 μB per atom

a = 8.8599 Å, b = 8.8663 Å, c = 22.1757 Å
α = 89.65°, β = 89.61°, γ = 60.22°
Closest atoms and distances in Å follow each position.
Space group P1 (No. 1)
One atom of each set of equivalent atoms:
Na 0.0000 0.0000 0.0000 x1  6 O 2.48-2.62
Na 0.0002 0.3662 0.7441 x1  5 O 2.37-2.58
Na 0.3215 0.3325 0.3366 x1  6 O 2.43-2.68
Na 0.3317 0.6993 0.0790 x1  7 O 2.43-2.69
Na 0.3333 0.3437 0.8299 x1  6 O 2.48-2.60
Na 0.6266 0.3719 0.2464 x1  6 O 2.37-2.54
Na 0.6344 0.9956 0.7442 x1  5 O 2.35-2.60
Na 0.6535 0.6658 0.6684 x1  6 O 2.43-2.68
Na 0.6666 0.6780 0.1627 x1  6 O 2.51-2.60
Na 0.6969 0.9693 0.0797 x1  8 O 2.44-2.69
Na 0.9685 0.3334 0.0793 x1  8 O 2.44-2.71
Na 0.9995 0.9998 0.5047 x1  4 O 2.41-2.70
Nb 0.9996 0.9989 0.8464 x1  3 O 1.87-1.89
Nb 0.0012 0.9993 0.3580 x1  3 O 1.89-1.90
Nb 0.6652 0.6668 0.5147 x1  3 O 1.88-1.89
Ga 0.9997 0.0002 0.6564 x1  3 O 1.83-1.85
Ga 0.0003 0.9979 0.1396 x1  6 O 1.90-2.11
Ga 0.3275 0.3325 0.1669 x1  3 O 1.83-1.87
Ga 0.3319 0.3344 0.9920 x1  3 O 1.84-1.85
Ga 0.3326 0.3344 0.4711 x1  3 O 1.88
Ga 0.3339 0.3391 0.6894 x1  4 O 1.90-2.04
Ga 0.6594 0.6662 0.8059 x1  4 O 1.88-2.02
Ga 0.6654 0.6666 0.0210 x1  6 O 1.91-2.10
Ga 0.6664 0.6713 0.3248 x1  3 O 1.81-1.86
Si 0.0414 0.6248 0.0796 x1  4 O 1.63-1.64
Si 0.2952 0.9954 0.7424 x1  4 O 1.60-1.69
Si 0.3327 0.0430 0.0799 x1  4 O 1.63-1.64
Si 0.3822 0.9619 0.4120 x1  4 O 1.58-1.67
Si 0.6234 0.3327 0.0815 x1  4 O 1.63-1.66
Si 0.6556 0.3834 0.4102 x1  4 O 1.58-1.67
Si 0.7050 0.2965 0.7436 x1  4 O 1.61-1.70
Si 0.9607 0.6551 0.4115 x1  4 O 1.58-1.67
Si 0.9994 0.7063 0.7441 x1  4 O 1.61-1.69
S 0.0019 0.2923 0.2452 x1  4 O 1.47-1.51
S 0.0458 0.3293 0.5811 x1  4 O 1.47-1.53
S 0.2903 0.7091 0.2454 x1  4 O 1.49-1.50
S 0.3275 0.6219 0.5810 x1  4 O 1.48-1.53
S 0.3795 0.6626 0.9144 x1  4 O 1.48-1.52
S 0.6228 0.0475 0.5811 x1  4 O 1.47-1.53
S 0.6608 0.9596 0.9141 x1  4 O 1.47-1.53
S 0.7076 0.9963 0.2460 x1  4 O 1.47-1.51
S 0.9579 0.3791 0.9140 x1  4 O 1.48-1.52
O 0.0168 0.1823 0.2993 x1  1 S 1.51
O 0.0184 0.8183 0.0881 x1  1 Si 1.64
O 0.0237 0.1744 0.5834 x1  1 S 1.48
O 0.0332 0.8033 0.8036 x1  1 Si 1.69, 1 Nb 1.87
O 0.1151 0.4951 0.1382 x1  1 Si 1.64, 1 Ga 1.83
O 0.1211 0.3551 0.6371 x1  1 S 1.49
O 0.1327 0.3603 0.9172 x1  1 S 1.48
O 0.1499 0.4979 0.4233 x1  1 Si 1.58
O 0.1508 0.3146 0.5272 x1  1 S 1.47
O 0.1608 0.0359 0.8023 x1  1 Si 1.69, 1 Nb 1.88
O 0.1617 0.0202 0.0888 x1  1 Si 1.64
O 0.1619 0.3040 0.2427 x1  1 S 1.47
O 0.1676 0.5150 0.7403 x1  1 Si 1.61
O 0.1729 0.5495 0.0219 x1  1 Si 1.63
O 0.1733 0.7976 0.5845 x1  1 S 1.48
O 0.1814 0.8039 0.2991 x1  1 S 1.50
O 0.1896 0.9720 0.4054 x1  1 Si 1.67
O 0.2016 0.8247 0.9097 x1  1 S 1.52
O 0.2072 0.8111 0.1898 x1  1 S 1.49
O 0.2116 0.9555 0.6851 x1  1 Si 1.60
O 0.2764 0.1740 0.0220 x1  1 Si 1.63
O 0.3050 0.1742 0.7392 x1  1 Si 1.63
O 0.3048 0.5348 0.2452 x1  1 S 1.49
O 0.3120 0.5371 0.5262 x1  1 S 1.48
O 0.3508 0.1513 0.4235 x1  1 Si 1.58
O 0.3549 0.5154 0.6360 x1  1 S 1.48
O 0.3600 0.5068 0.9173 x1  1 S 1.48
O 0.3901 0.1161 0.1381 x1  1 Si 1.64, 1 Ga 1.83
O 0.4561 0.6883 0.9703 x1  1 S 1.49
O 0.4670 0.6897 0.2487 x1  1 S 1.49
O 0.4692 0.8306 0.4711 x1  1 Si 1.66
O 0.4851 0.6473 0.8603 x1  1 S 1.48
O 0.4875 0.8347 0.7550 x1  1 Si 1.61
O 0.4906 0.6395 0.5769 x1  1 S 1.53
O 0.4932 0.8783 0.3519 x1  1 Si 1.60
O 0.4960 0.3537 0.4223 x1  1 Si 1.58
O 0.5005 0.3829 0.1429 x1  1 Si 1.66
O 0.5026 0.8497 0.0713 x1  1 Si 1.64
O 0.5061 0.1344 0.9176 x1  1 S 1.47
O 0.5206 0.1232 0.6374 x1  1 S 1.49
O 0.5227 0.2975 0.7408 x1  1 Si 1.61
O 0.5343 0.1520 0.5273 x1  1 S 1.47
O 0.5370 0.1603 0.2448 x1  1 S 1.49
O 0.5442 0.2796 0.0246 x1  1 Si 1.63
O 0.6298 0.4895 0.3478 x1  1 Si 1.62
O 0.6395 0.8677 0.5769 x1  1 S 1.53
O 0.6439 0.5047 0.0723 x1  1 Si 1.63
O 0.6473 0.8734 0.8590 x1  1 S 1.48
O 0.6856 0.8534 0.9693 x1  1 S 1.49
O 0.6906 0.8399 0.2512 x1  1 S 1.47
O 0.6967 0.4792 0.7561 x1  1 Si 1.61
O 0.6976 0.4740 0.4685 x1  1 Si 1.66
O 0.7992 0.0266 0.5837 x1  1 S 1.48
O 0.8021 0.1607 0.8031 x1  1 Si 1.70, 1 Nb 1.89
O 0.8027 0.0176 0.2985 x1  1 S 1.51
O 0.8097 0.9780 0.1897 x1  1 S 1.50
O 0.8170 0.1630 0.0893 x1  1 Si 1.64
O 0.8243 0.9754 0.9107 x1  1 S 1.53
O 0.8283 0.6888 0.7577 x1  1 Si 1.63
O 0.8290 0.7006 0.4708 x1  1 Si 1.67
O 0.8368 0.1909 0.4042 x1  1 Si 1.67
O 0.8373 0.2151 0.6870 x1  1 Si 1.62
O 0.8407 0.4645 0.2495 x1  1 S 1.49
O 0.8481 0.6471 0.0712 x1  1 Si 1.64
O 0.8519 0.4592 0.9693 x1  1 S 1.49
O 0.8658 0.4914 0.5765 x1  1 S 1.53
O 0.8717 0.4805 0.8589 x1  1 S 1.48
O 0.8785 0.6243 0.3519 x1  1 Si 1.60
O 0.9436 0.8407 0.6880 x1  1 Si 1.62
O 0.9706 0.8377 0.4046 x1  1 Si 1.67
O 0.9731 0.2006 0.9103 x1  1 S 1.52
O 0.9753 0.2091 0.1906 x1  1 S 1.50


No. 2
Here is a relaxed Na10Nb2Ga6Si7S5O48 crystal from the Materials Project database. Energies are from PBE.

Results
Formation enthalpy at 0 K ... -2.460 eV/atom
Spin magnetization ... 0.000 μB per atom

a = 8.8573 Å, b = 15.4595 Å, c = 22.0728 Å
α = 90.51°, β = 90.09°, γ = 90.04°
Closest atoms and distances in Å follow each position.
Space group P1 (No. 1)
One atom of each set of equivalent atoms:
Na 0.0000 0.0000 0.0000 x1  2 O 2.27-2.40
Na 0.0003 0.3052 0.6601 x1  7 O 2.44-2.63
Na 0.1585 0.8176 0.2487 x1  5 O 2.34-2.55
Na 0.1606 0.4925 0.9228 x1  3 O 2.36-2.44
Na 0.1748 0.1628 0.0867 x1  5 O 2.39-2.66
Na 0.1822 0.1580 0.5894 x1  4 O 2.34-2.53
Na 0.1884 0.4811 0.4174 x1  5 O 2.33-2.57
Na 0.1896 0.8235 0.7493 x1  6 O 2.41-2.64
Na 0.3215 0.9908 0.1614 x1  6 O 2.45-2.71
Na 0.3586 0.0018 0.5023 x1  3 O 2.30-2.48
Na 0.3605 0.6403 0.5116 x1  6 O 2.33-2.60
Na 0.3650 0.3384 0.8390 x1  5 O 2.43-2.56
Na 0.3648 0.6713 0.1599 x1  5 O 2.31-2.51
Na 0.3659 0.3079 0.1681 x1  5 O 2.33-2.52
Na 0.4945 0.8375 0.3385 x1  5 O 2.42-2.56
Na 0.4993 0.1399 0.0106 x1  5 O 2.34-2.59
Na 0.5000 0.5047 0.0059 x1  5 O 2.33-2.58
Na 0.5381 0.4922 0.6623 x1  6 O 2.42-2.70
Na 0.6710 0.3202 0.2517 x1  6 O 2.42-2.70
Na 0.6709 0.9795 0.9162 x1  4 O 2.32-2.58
Na 0.6731 0.6751 0.5896 x1  2 O 2.27-2.35
Na 0.6782 0.3103 0.7498 x1  6 O 2.43-2.66
Na 0.6933 0.6769 0.0891 x1  3 O 2.33-2.45
Na 0.6981 0.9928 0.4235 x1  4 O 2.36-2.63
Na 0.7928 0.4898 0.1665 x1  6 O 2.38-2.57
Na 0.8601 0.5009 0.5010 x1  3 O 2.28-2.55
Na 0.8607 0.4718 0.8352 x1  5 O 2.36-2.48
Na 0.8662 0.8421 0.8330 x1  6 O 2.38-2.63
Na 0.9930 0.3421 0.3336 x1  6 O 2.36-2.62
Na 0.9983 0.9701 0.3363 x1  5 O 2.37-2.46
Nb 0.1634 0.1536 0.4420 x1  4 O 1.87-1.99
Nb 0.1720 0.1569 0.9330 x1  6 O 1.92-2.11
Nb 0.1945 0.4951 0.7707 x1  5 O 1.88-2.09
Nb 0.6667 0.9935 0.2714 x1  5 O 1.90-2.06
Nb 0.6881 0.6580 0.4336 x1  6 O 1.92-2.11
Nb 0.6966 0.6544 0.9414 x1  4 O 1.87-1.98
Ga 0.1590 0.8361 0.8935 x1  4 O 1.85-1.96
Ga 0.1707 0.1599 0.7326 x1  3 O 1.82-1.91
Ga 0.1712 0.8369 0.3984 x1  4 O 1.88-1.99
Ga 0.1753 0.4948 0.2664 x1  3 O 1.82-2.00
Ga 0.1832 0.1538 0.2342 x1  4 O 1.86-2.05
Ga 0.1842 0.8313 0.0946 x1  3 O 1.85-1.98
Ga 0.1865 0.4836 0.0610 x1  4 O 1.86-2.05
Ga 0.2017 0.8238 0.6019 x1  3 O 1.86-1.92
Ga 0.2134 0.4719 0.5642 x1  4 O 1.84-1.97
Ga 0.6479 0.9728 0.0622 x1  4 O 1.81-1.97
Ga 0.6564 0.3269 0.1029 x1  4 O 1.88-1.97
Ga 0.6682 0.3273 0.5940 x1  4 O 1.88-1.98
Ga 0.6694 0.6595 0.7337 x1  4 O 1.89-1.97
Ga 0.6832 0.6563 0.2282 x1  4 O 1.87-2.01
Ga 0.6851 0.9801 0.5622 x1  5 O 1.85-2.04
Ga 0.6912 0.3383 0.8991 x1  4 O 1.87-1.99
Ga 0.6907 0.9937 0.7652 x1  4 O 1.86-2.00
Ga 0.6999 0.3363 0.3941 x1  4 O 1.85-1.96
Si 0.0192 0.3011 0.8268 x1  4 O 1.61-1.67
Si 0.0281 0.9635 0.5045 x1  4 O 1.61-1.73
Si 0.0297 0.0116 0.8236 x1  4 O 1.60-1.69
Si 0.3208 0.0117 0.3328 x1  4 O 1.61-1.67
Si 0.3268 0.6427 0.6609 x1  4 O 1.63-1.70
Si 0.3274 0.9646 0.9955 x1  4 O 1.59-1.71
Si 0.3347 0.3325 0.6665 x1  4 O 1.62-1.70
Si 0.3919 0.3244 0.9962 x1  4 O 1.63-1.66
Si 0.4615 0.4920 0.1664 x1  4 O 1.64-1.65
Si 0.4671 0.8244 0.4971 x1  4 O 1.62-1.67
Si 0.5251 0.8378 0.1654 x1  4 O 1.59-1.68
Si 0.5335 0.1387 0.1611 x1  4 O 1.62-1.68
Si 0.5327 0.4639 0.4955 x1  4 O 1.60-1.70
Si 0.5401 0.5132 0.8323 x1  4 O 1.61-1.67
Si 0.8335 0.5116 0.3236 x1  4 O 1.61-1.69
Si 0.8371 0.4658 0.0049 x1  4 O 1.61-1.72
Si 0.8375 0.7981 0.3271 x1  4 O 1.59-1.68
Si 0.8863 0.1643 0.3285 x1  4 O 1.61-1.70
Si 0.8898 0.8297 0.0022 x1  4 O 1.62-1.67
Si 0.9705 0.3290 0.5041 x1  4 O 1.63-1.67
Si 0.9719 0.6648 0.8273 x1  4 O 1.60-1.70
S 0.0332 0.3424 0.1661 x1  4 O 1.47-1.50
S 0.0363 0.6839 0.4992 x1  4 O 1.46-1.54
S 0.0368 0.6357 0.1638 x1  4 O 1.47-1.50
S 0.3210 0.6807 0.9978 x1  4 O 1.45-1.53
S 0.3283 0.3014 0.3314 x1  4 O 1.46-1.50
S 0.3817 0.6533 0.3318 x1  4 O 1.47-1.51
S 0.4001 0.9914 0.6662 x1  4 O 1.47-1.50
S 0.4738 0.1520 0.8303 x1  4 O 1.47-1.52
S 0.5302 0.8036 0.8307 x1  4 O 1.46-1.50
S 0.5381 0.1786 0.4985 x1  4 O 1.45-1.53
S 0.8189 0.1331 0.6634 x1  4 O 1.47-1.49
S 0.8230 0.1845 0.9993 x1  4 O 1.46-1.54
S 0.8245 0.8440 0.6665 x1  4 O 1.46-1.51
S 0.8884 0.4937 0.6641 x1  4 O 1.47-1.50
S 0.9711 0.9925 0.1643 x1  4 O 1.46-1.50
O 0.9998 0.8078 0.0590 x1  1 Si 1.62
O 0.0013 0.1843 0.2733 x1  1 Si 1.62
O 0.0150 0.4848 0.0123 x1  1 Si 1.61
O 0.0165 0.8113 0.3379 x1  1 Si 1.62
O 0.0199 0.4980 0.3236 x1  1 Si 1.66
O 0.0497 0.2499 0.7643 x1  1 Si 1.61
O 0.0507 0.9196 0.4378 x1  1 Si 1.63
O 0.0555 0.3931 0.2236 x1  1 S 1.50
O 0.0560 0.7335 0.5552 x1  1 S 1.46
O 0.0602 0.5712 0.8222 x1  1 Si 1.65
O 0.0629 0.0715 0.8869 x1  1 Si 1.69
O 0.0695 0.9144 0.1651 x1  1 S 1.49
O 0.0699 0.5802 0.1110 x1  1 S 1.47
O 0.0717 0.0708 0.1676 x1  1 S 1.50
O 0.0717 0.4176 0.5102 x1  1 Si 1.64
O 0.0827 0.7453 0.8391 x1  1 Si 1.60
O 0.0856 0.2439 0.4954 x1  1 Si 1.67
O 0.0963 0.5955 0.5015 x1  1 S 1.47
O 0.0973 0.5968 0.2208 x1  1 S 1.50
O 0.0978 0.7255 0.4448 x1  1 S 1.47
O 0.0997 0.3984 0.8244 x1  1 Si 1.67
O 0.1021 0.9158 0.8303 x1  1 Si 1.62
O 0.1060 0.3860 0.1142 x1  1 S 1.48
O 0.1078 0.0607 0.7681 x1  1 Si 1.60
O 0.1101 0.2568 0.1690 x1  1 S 1.49
O 0.1108 0.7213 0.1608 x1  1 S 1.48
O 0.1131 0.0638 0.4990 x1  1 Si 1.73, 1 Nb 1.93
O 0.1131 0.2528 0.8827 x1  1 Si 1.67
O 0.1245 0.9187 0.5581 x1  1 Si 1.62
O 0.2412 0.3747 0.6108 x1  1 Si 1.62
O 0.2410 0.7358 0.6604 x1  1 Si 1.63
O 0.2449 0.0639 0.9881 x1  1 Si 1.71
O 0.2488 0.0538 0.2726 x1  1 Si 1.61
O 0.2498 0.3867 0.3310 x1  1 S 1.49
O 0.2518 0.9350 0.0599 x1  1 Si 1.64
O 0.2539 0.2382 0.6749 x1  1 Si 1.64
O 0.2540 0.9137 0.3349 x1  1 Si 1.63
O 0.2579 0.2534 0.3826 x1  1 S 1.49
O 0.2587 0.5856 0.7203 x1  1 Si 1.70, 1 Nb 1.88
O 0.2595 0.5916 0.9997 x1  1 S 1.48
O 0.2619 0.7249 0.9453 x1  1 S 1.45
O 0.2839 0.2371 0.9879 x1  1 Si 1.66
O 0.2846 0.0690 0.3940 x1  1 Si 1.64
O 0.2881 0.7311 0.3385 x1  1 S 1.47
O 0.2897 0.5738 0.3300 x1  1 S 1.47
O 0.2900 0.9032 0.9393 x1  1 Si 1.59
O 0.2922 0.4125 0.0013 x1  1 Si 1.63
O 0.2984 0.2554 0.2724 x1  1 S 1.50
O 0.2976 0.7270 0.0567 x1  1 S 1.49
O 0.3003 0.3998 0.7262 x1  1 Si 1.70
O 0.3000 0.5755 0.6035 x1  1 Si 1.65
O 0.3073 0.0699 0.6697 x1  1 S 1.47
O 0.3070 0.9116 0.6652 x1  1 S 1.48
O 0.3373 0.8324 0.1598 x1  1 Si 1.67
O 0.3461 0.4736 0.2229 x1  1 Si 1.64, 1 Ga 1.82
O 0.3469 0.1494 0.1712 x1  1 Si 1.68
O 0.3531 0.4855 0.4996 x1  1 Si 1.63
O 0.3528 0.5036 0.8308 x1  1 Si 1.67
O 0.3636 0.5095 0.1040 x1  1 Si 1.65
O 0.3668 0.1696 0.4949 x1  1 S 1.53
O 0.3666 0.7929 0.5539 x1  1 Si 1.62
O 0.3674 0.8117 0.8374 x1  1 S 1.46
O 0.3673 0.8399 0.4355 x1  1 Si 1.64
O 0.3735 0.1696 0.7783 x1  1 S 1.48
O 0.3794 0.1409 0.8872 x1  1 S 1.52
O 0.4748 0.6655 0.2772 x1  1 S 1.48
O 0.4817 0.6443 0.3871 x1  1 S 1.51
O 0.4835 0.2985 0.0574 x1  1 Si 1.63
O 0.4893 0.9985 0.6086 x1  1 S 1.50
O 0.4915 0.3095 0.3368 x1  1 S 1.46
O 0.4920 0.6703 0.9946 x1  1 S 1.53
O 0.4984 0.3349 0.9364 x1  1 Si 1.63
O 0.5014 0.9839 0.7202 x1  1 S 1.50
O 0.5066 0.9876 0.9976 x1  1 Si 1.63
O 0.5082 0.0028 0.3319 x1  1 Si 1.67
O 0.5117 0.6473 0.6714 x1  1 Si 1.66
O 0.5193 0.3341 0.6590 x1  1 Si 1.64
O 0.5567 0.0739 0.1030 x1  1 Si 1.63
O 0.5570 0.7541 0.7738 x1  1 S 1.48
O 0.5569 0.9040 0.2251 x1  1 Si 1.68
O 0.5611 0.2293 0.5551 x1  1 S 1.48
O 0.5622 0.0716 0.8249 x1  1 S 1.47
O 0.5657 0.4020 0.4388 x1  1 Si 1.60
O 0.5663 0.9130 0.5060 x1  1 Si 1.64
O 0.5679 0.4044 0.1637 x1  1 Si 1.65
O 0.5710 0.2282 0.8372 x1  1 S 1.47
O 0.5718 0.5769 0.1709 x1  1 Si 1.64
O 0.5737 0.5705 0.8938 x1  1 Si 1.64
O 0.5774 0.7380 0.4885 x1  1 Si 1.67
O 0.5923 0.7419 0.1754 x1  1 Si 1.61
O 0.5941 0.0886 0.5047 x1  1 S 1.49
O 0.5999 0.2176 0.4445 x1  1 S 1.45
O 0.6010 0.0847 0.2209 x1  1 Si 1.68
O 0.6013 0.8786 0.1068 x1  1 Si 1.59
O 0.6052 0.4148 0.8357 x1  1 Si 1.63
O 0.6055 0.7606 0.8834 x1  1 S 1.50
O 0.6061 0.8904 0.8268 x1  1 S 1.50
O 0.6100 0.4325 0.5593 x1  1 Si 1.64
O 0.6121 0.2335 0.1602 x1  1 Si 1.62
O 0.6129 0.5558 0.7727 x1  1 Si 1.61
O 0.6138 0.5628 0.4875 x1  1 Si 1.70
O 0.7464 0.4228 0.0611 x1  1 Si 1.63
O 0.7483 0.7559 0.3866 x1  1 Si 1.67
O 0.7498 0.5650 0.9985 x1  1 Si 1.72
O 0.7529 0.7577 0.6689 x1  1 S 1.48
O 0.7543 0.8868 0.6135 x1  1 S 1.49
O 0.7547 0.2216 0.6625 x1  1 S 1.48
O 0.7590 0.8966 0.3230 x1  1 Si 1.68
O 0.7600 0.4158 0.3315 x1  1 Si 1.63
O 0.7622 0.2249 0.9443 x1  1 S 1.47
O 0.7628 0.0936 0.7206 x1  1 S 1.49
O 0.7640 0.0959 0.0022 x1  1 S 1.47
O 0.7651 0.5554 0.2638 x1  1 Si 1.61
O 0.7732 0.7450 0.9944 x1  1 Si 1.67
O 0.7738 0.0815 0.6099 x1  1 S 1.47
O 0.7766 0.2456 0.3396 x1  1 Si 1.61
O 0.7874 0.5700 0.6676 x1  1 S 1.48
O 0.7887 0.9183 0.0091 x1  1 Si 1.64
O 0.7903 0.8936 0.7239 x1  1 S 1.51
O 0.7947 0.4130 0.6656 x1  1 S 1.50
O 0.7950 0.7409 0.2695 x1  1 Si 1.59
O 0.7958 0.5738 0.3849 x1  1 Si 1.69
O 0.7994 0.0706 0.3235 x1  1 Si 1.64
O 0.7998 0.2348 0.0548 x1  1 S 1.46
O 0.8129 0.4194 0.9393 x1  1 Si 1.62
O 0.8406 0.3122 0.8385 x1  1 Si 1.61
O 0.8434 0.9997 0.8234 x1  1 Si 1.66
O 0.8501 0.9838 0.5109 x1  1 Si 1.61
O 0.8556 0.6844 0.7726 x1  1 Si 1.62
O 0.8627 0.6466 0.8893 x1  1 Si 1.70, 1 Nb 1.87
O 0.8640 0.6723 0.4941 x1  1 S 1.54
O 0.8658 0.3091 0.5638 x1  1 Si 1.64
O 0.8689 0.3336 0.1593 x1  1 S 1.47
O 0.8700 0.6438 0.1652 x1  1 S 1.48
O 0.8767 0.9863 0.2202 x1  1 S 1.49
O 0.8779 0.3452 0.4416 x1  1 Si 1.63
O 0.8796 0.0004 0.1094 x1  1 S 1.46
O 0.9766 0.8464 0.9382 x1  1 Si 1.63
O 0.9802 0.5006 0.6091 x1  1 S 1.47
O 0.9865 0.4854 0.7192 x1  1 S 1.50
O 0.9868 0.1397 0.6633 x1  1 S 1.49
O 0.9891 0.8389 0.6617 x1  1 S 1.46
O 0.9962 0.1471 0.3901 x1  1 Si 1.70, 1 Nb 1.87
O 0.9959 0.1742 0.9945 x1  1 S 1.54


Total energy after the MP2020 corrections for every record listed, in sequence, given in eV per formula unit: -263.243 -539.665.